Record 1
Crystalline Na6HfMg7S12O48 at its relaxed geometry. Source: the Materials Project, functional PBE-GGA.

## Properties
* formation enthalpy at 0 K: -2.371 eV per atom
* VASP energy: -1376.2 eV/cell
* crystal system: triclinic
* symmetry: P1
* spin magnetization: 0.001 μB/cell

Lattice parameters (Å, degrees): 8.717 15.125 22.757 90.01 90.02 90.05
Positions (direct):
1 Na 0.000 0.000 0.000
2 Na 0.001 0.338 0.333
3 Na 0.046 0.017 0.331
4 Na 0.177 0.518 0.080
5 Na 0.178 0.190 0.749
6 Na 0.182 0.519 0.583
7 Na 0.184 0.842 0.917
8 Na 0.186 0.846 0.411
9 Na 0.191 0.183 0.246
10 Na 0.319 0.018 0.833
11 Na 0.361 0.673 0.166
12 Na 0.672 0.354 0.413
13 Na 0.674 0.015 0.085
14 Na 0.677 0.349 0.911
15 Na 0.678 0.690 0.749
16 Na 0.682 0.018 0.583
17 Na 0.690 0.688 0.252
18 Na 0.819 0.519 0.833
19 Hf 0.181 0.851 0.563
20 Hf 0.680 0.352 0.063
21 Hf 0.681 0.352 0.564
22 Mg 0.176 0.519 0.234
23 Mg 0.179 0.847 0.767
24 Mg 0.182 0.185 0.601
25 Mg 0.182 0.190 0.898
26 Mg 0.184 0.183 0.102
27 Mg 0.184 0.519 0.732
28 Mg 0.184 0.522 0.432
29 Mg 0.184 0.848 0.266
30 Mg 0.186 0.848 0.066
31 Mg 0.187 0.521 0.933
32 Mg 0.193 0.185 0.400
33 Mg 0.674 0.353 0.267
34 Mg 0.675 0.016 0.932
35 Mg 0.676 0.690 0.899
36 Mg 0.678 0.016 0.433
37 Mg 0.679 0.348 0.767
38 Mg 0.679 0.685 0.397
39 Mg 0.681 0.015 0.231
40 Mg 0.682 0.685 0.600
41 Mg 0.684 0.018 0.732
42 Mg 0.687 0.690 0.098
43 S 0.033 0.041 0.499
44 S 0.033 0.705 0.166
45 S 0.035 0.999 0.166
46 S 0.036 0.665 0.833
47 S 0.037 0.372 0.833
48 S 0.040 0.332 0.499
49 S 0.322 0.331 0.999
50 S 0.329 0.000 0.668
51 S 0.329 0.039 0.999
52 S 0.329 0.373 0.333
53 S 0.329 0.665 0.332
54 S 0.330 0.704 0.667
55 S 0.386 0.351 0.667
56 S 0.388 0.685 0.000
57 S 0.390 0.018 0.332
58 S 0.472 0.182 0.500
59 S 0.474 0.518 0.832
60 S 0.474 0.853 0.166
61 S 0.533 0.542 0.499
62 S 0.535 0.205 0.168
63 S 0.535 0.499 0.167
64 S 0.536 0.872 0.832
65 S 0.537 0.165 0.833
66 S 0.541 0.831 0.499
67 S 0.826 0.165 0.333
68 S 0.827 0.872 0.333
69 S 0.829 0.500 0.668
70 S 0.829 0.832 0.999
71 S 0.830 0.204 0.667
72 S 0.831 0.541 0.999
73 S 0.887 0.851 0.667
74 S 0.888 0.519 0.333
75 S 0.892 0.184 0.999
76 S 0.970 0.682 0.499
77 S 0.975 0.019 0.833
78 S 0.977 0.351 0.168
79 O 0.059 0.279 0.444
80 O 0.060 0.609 0.780
81 O 0.061 0.428 0.885
82 O 0.061 0.759 0.219
83 O 0.063 0.946 0.112
84 O 0.065 0.094 0.551
85 O 0.071 0.272 0.159
86 O 0.071 0.432 0.172
87 O 0.072 0.765 0.507
88 O 0.073 0.606 0.493
89 O 0.077 0.940 0.826
90 O 0.078 0.098 0.839
91 O 0.101 0.958 0.220
92 O 0.102 0.077 0.445
93 O 0.103 0.289 0.551
94 O 0.103 0.412 0.779
95 O 0.103 0.624 0.886
96 O 0.105 0.283 0.839
97 O 0.105 0.421 0.492
98 O 0.105 0.753 0.826
99 O 0.106 0.745 0.113
100 O 0.107 0.088 0.160
101 O 0.107 0.950 0.507
102 O 0.110 0.616 0.172
103 O 0.253 0.284 0.339
104 O 0.254 0.951 0.006
105 O 0.255 0.617 0.672
106 O 0.256 0.412 0.280
107 O 0.257 0.086 0.659
108 O 0.257 0.754 0.326
109 O 0.258 0.078 0.945
110 O 0.258 0.420 0.993
111 O 0.260 0.290 0.053
112 O 0.260 0.623 0.384
113 O 0.260 0.748 0.613
114 O 0.262 0.958 0.721
115 O 0.286 0.098 0.339
116 O 0.286 0.940 0.326
117 O 0.291 0.605 0.993
118 O 0.291 0.765 0.006
119 O 0.292 0.272 0.659
120 O 0.293 0.432 0.671
121 O 0.296 0.942 0.614
122 O 0.300 0.094 0.051
123 O 0.301 0.426 0.386
124 O 0.301 0.760 0.719
125 O 0.303 0.613 0.277
126 O 0.304 0.277 0.946
127 O 0.365 0.865 0.825
128 O 0.366 0.171 0.839
129 O 0.366 0.508 0.172
130 O 0.366 0.841 0.507
131 O 0.367 0.528 0.493
132 O 0.368 0.198 0.159
133 O 0.379 0.172 0.553
134 O 0.379 0.836 0.218
135 O 0.380 0.866 0.113
136 O 0.381 0.504 0.885
137 O 0.381 0.532 0.779
138 O 0.382 0.200 0.447
139 O 0.481 0.671 0.055
140 O 0.483 0.006 0.386
141 O 0.484 0.033 0.280
142 O 0.484 0.338 0.719
143 O 0.485 0.697 0.948
144 O 0.487 0.364 0.613
145 O 0.496 0.362 0.326
146 O 0.497 0.006 0.672
147 O 0.497 0.030 0.992
148 O 0.497 0.340 0.007
149 O 0.497 0.697 0.659
150 O 0.498 0.673 0.339
151 O 0.559 0.928 0.884
152 O 0.560 0.109 0.780
153 O 0.561 0.777 0.446
154 O 0.564 0.260 0.219
155 O 0.564 0.593 0.553
156 O 0.565 0.443 0.113
157 O 0.570 0.770 0.159
158 O 0.573 0.265 0.507
159 O 0.573 0.931 0.172
160 O 0.574 0.106 0.493
161 O 0.578 0.439 0.826
162 O 0.578 0.597 0.839
163 O 0.603 0.588 0.159
164 O 0.603 0.790 0.553
165 O 0.603 0.913 0.779
166 O 0.604 0.124 0.886
167 O 0.604 0.249 0.113
168 O 0.604 0.457 0.218
169 O 0.605 0.253 0.826
170 O 0.605 0.579 0.446
171 O 0.605 0.783 0.839
172 O 0.605 0.921 0.493
173 O 0.607 0.450 0.507
174 O 0.608 0.118 0.172
175 O 0.756 0.117 0.672
176 O 0.757 0.449 0.007
177 O 0.757 0.586 0.659
178 O 0.758 0.783 0.340
179 O 0.760 0.125 0.386
180 O 0.760 0.249 0.613
181 O 0.760 0.913 0.280
182 O 0.761 0.576 0.945
183 O 0.761 0.923 0.993
184 O 0.762 0.256 0.326
185 O 0.762 0.458 0.721
186 O 0.762 0.792 0.052
187 O 0.790 0.597 0.340
188 O 0.791 0.265 0.006
189 O 0.792 0.772 0.659
190 O 0.793 0.105 0.992
191 O 0.793 0.436 0.326
192 O 0.793 0.932 0.671
193 O 0.796 0.442 0.614
194 O 0.798 0.593 0.052
195 O 0.801 0.260 0.719
196 O 0.801 0.778 0.946
197 O 0.802 0.109 0.280
198 O 0.804 0.929 0.385
199 O 0.865 0.365 0.826
200 O 0.865 0.671 0.839
201 O 0.866 0.008 0.172
202 O 0.866 0.029 0.493
203 O 0.866 0.340 0.506
204 O 0.866 0.694 0.159
205 O 0.874 0.364 0.114
206 O 0.878 0.032 0.781
207 O 0.879 0.672 0.553
208 O 0.879 0.699 0.446
209 O 0.882 0.339 0.221
210 O 0.883 0.006 0.887
211 O 0.982 0.531 0.279
212 O 0.984 0.200 0.946
213 O 0.985 0.171 0.052
214 O 0.985 0.502 0.385
215 O 0.985 0.839 0.719
216 O 0.988 0.864 0.613
217 O 0.996 0.197 0.659
218 O 0.997 0.506 0.672
219 O 0.997 0.528 0.993
220 O 0.998 0.175 0.339
221 O 0.998 0.865 0.326
222 O 0.999 0.844 0.005

***

Record 2
Crystalline Na8HfMg3Si3S3O24 at its relaxed geometry. Source: the Materials Project, functional PBE-GGA.

## Properties
* formation enthalpy at 0 K: -2.612 eV per atom
* VASP energy: -797.9 eV/cell
* crystal system: triclinic
* symmetry: P1
* spin magnetization: 0.001 μB/cell

Lattice parameters (Å, degrees): 9.125 9.128 22.218 89.27 89.63 60.55
Positions (direct):
1 Na 0.000 0.000 0.000
2 Na 0.002 0.681 0.425
3 Na 0.008 0.334 0.160
4 Na 0.040 0.646 0.928
5 Na 0.054 0.965 0.341
6 Na 0.072 0.318 0.846
7 Na 0.312 0.339 0.323
8 Na 0.330 0.682 0.853
9 Na 0.334 0.388 0.000
10 Na 0.347 0.652 0.498
11 Na 0.352 0.023 0.754
12 Na 0.364 0.000 0.245
13 Na 0.393 0.290 0.679
14 Na 0.398 0.639 0.157
15 Na 0.648 0.031 0.171
16 Na 0.663 0.992 0.832
17 Na 0.671 0.358 0.083
18 Na 0.677 0.657 0.662
19 Na 0.685 0.708 0.332
20 Na 0.706 0.321 0.583
21 Na 0.724 0.616 0.012
22 Na 0.737 0.981 0.504
23 Na 0.964 0.376 0.509
24 Na 0.989 0.051 0.660
25 Hf 0.016 0.655 0.767
26 Hf 0.344 0.002 0.100
27 Hf 0.349 0.998 0.600
28 Mg 0.015 0.652 0.254
29 Mg 0.030 0.642 0.068
30 Mg 0.342 0.013 0.905
31 Mg 0.351 0.991 0.407
32 Mg 0.665 0.349 0.940
33 Mg 0.679 0.341 0.230
34 Mg 0.684 0.322 0.732
35 Mg 0.691 0.332 0.440
36 Mg 0.993 0.677 0.565
37 Si 0.015 0.367 0.664
38 Si 0.043 0.301 0.997
39 Si 0.051 0.995 0.497
40 Si 0.320 0.365 0.169
41 Si 0.344 0.706 0.998
42 Si 0.389 0.332 0.834
43 Si 0.648 0.700 0.496
44 Si 0.717 0.670 0.169
45 Si 0.719 0.967 0.666
46 S 0.015 0.959 0.169
47 S 0.308 0.668 0.666
48 S 0.351 0.293 0.497
49 S 0.387 0.629 0.334
50 S 0.646 0.999 0.998
51 S 0.682 0.044 0.335
52 S 0.684 0.625 0.832
53 S 0.978 0.037 0.832
54 S 0.979 0.333 0.335
55 O 0.019 0.489 0.004
56 O 0.043 0.854 0.224
57 O 0.047 0.819 0.505
58 O 0.049 0.458 0.724
59 O 0.143 0.180 0.057
60 O 0.148 0.027 0.556
61 O 0.151 0.013 0.835
62 O 0.153 0.183 0.339
63 O 0.161 0.975 0.437
64 O 0.163 0.217 0.939
65 O 0.169 0.700 0.005
66 O 0.173 0.976 0.164
67 O 0.185 0.177 0.663
68 O 0.193 0.508 0.829
69 O 0.201 0.692 0.720
70 O 0.204 0.461 0.505
71 O 0.206 0.440 0.230
72 O 0.213 0.652 0.330
73 O 0.232 0.642 0.612
74 O 0.235 0.489 0.112
75 O 0.317 0.828 0.663
76 O 0.323 0.214 0.444
77 O 0.329 0.817 0.937
78 O 0.330 0.178 0.162
79 O 0.367 0.162 0.837
80 O 0.369 0.805 0.056
81 O 0.374 0.799 0.336
82 O 0.376 0.184 0.552
83 O 0.466 0.526 0.389
84 O 0.474 0.365 0.892
85 O 0.480 0.526 0.674
86 O 0.489 0.543 0.281
87 O 0.494 0.314 0.772
88 O 0.506 0.305 0.493
89 O 0.512 0.520 0.000
90 O 0.515 0.327 0.175
91 O 0.522 0.835 0.162
92 O 0.525 0.801 0.557
93 O 0.526 0.029 0.337
94 O 0.531 0.976 0.663
95 O 0.535 0.023 0.053
96 O 0.537 0.798 0.836
97 O 0.564 0.821 0.438
98 O 0.567 0.973 0.944
99 O 0.650 0.519 0.496
100 O 0.659 0.154 0.994
101 O 0.667 0.546 0.777
102 O 0.670 0.144 0.280
103 O 0.689 0.157 0.671
104 O 0.695 0.130 0.389
105 O 0.703 0.498 0.174
106 O 0.711 0.521 0.886
107 O 0.787 0.716 0.230
108 O 0.811 0.845 0.727
109 O 0.813 0.851 0.007
110 O 0.834 0.650 0.111
111 O 0.836 0.874 0.334
112 O 0.837 0.672 0.502
113 O 0.837 0.880 0.608
114 O 0.841 0.645 0.828
115 O 0.845 0.353 0.674
116 O 0.862 0.161 0.497
117 O 0.862 0.303 0.995
118 O 0.871 0.131 0.177
119 O 0.877 0.111 0.887
120 O 0.877 0.348 0.389
121 O 0.897 0.139 0.778
122 O 0.899 0.309 0.281
123 O 0.989 0.885 0.116
124 O 0.993 0.490 0.331
125 O 0.995 0.863 0.827
126 O 0.996 0.480 0.606

***

| no. | theoretical density (g/cm³) |
| --- | --- |
| 1 | 2.7 |
| 2 | 3.1 |